First-principles (GGA-PBE) data for crystalline ZnGaP2H4NO8 at its relaxed geometry, as listed in Materials Project.

Output
As for the volume: 823.6 Å³ per cell. The calculation puts the total energy at -6.095 eV/atom. The crystal system is monoclinic. The calculation puts the calculated formation energy at -1.91 eV per atom. The calculation puts the polymorph energy (0 for the lowest one) at 23 meV per atom.

a = 8.816 Å, b = 10.123 Å, c = 9.230 Å
α = 90.00°, β = 90.48°, γ = 90.00°
Element x y z (fractional)
Zn  0.073  0.000  0.319
Zn  0.419  0.391  0.974
Zn  0.581  0.891  0.026
Zn  0.927  0.500  0.681
Ga  0.083  0.142  0.834
Ga  0.365  0.655  0.433
Ga  0.635  0.155  0.567
Ga  0.917  0.642  0.166
P  0.030  0.729  0.478
P  0.068  0.418  0.989
P  0.432  0.118  0.856
P  0.437  0.948  0.334
P  0.563  0.448  0.666
P  0.568  0.618  0.144
P  0.932  0.918  0.011
P  0.970  0.229  0.522
H  0.164  0.730  0.912
H  0.193  0.440  0.457
H  0.235  0.717  0.744
H  0.268  0.455  0.293
H  0.298  0.838  0.857
H  0.347  0.683  0.890
H  0.363  0.134  0.449
H  0.374  0.400  0.431
H  0.626  0.900  0.569
H  0.637  0.634  0.551
H  0.653  0.183  0.110
H  0.702  0.338  0.143
H  0.732  0.955  0.707
H  0.765  0.217  0.256
H  0.807  0.940  0.543
H  0.836  0.230  0.088
N  0.260  0.741  0.850
N  0.290  0.466  0.402
N  0.710  0.966  0.598
N  0.740  0.241  0.150
O  0.004  0.377  0.535
O  0.022  0.268  0.970
O  0.041  0.662  0.325
O  0.056  0.973  0.905
O  0.065  0.491  0.844
O  0.090  0.166  0.425
O  0.194  0.704  0.545
O  0.224  0.432  0.063
O  0.281  0.154  0.774
O  0.282  0.962  0.263
O  0.431  0.453  0.770
O  0.433  0.969  0.889
O  0.434  0.657  0.243
O  0.448  0.841  0.452
O  0.449  0.199  0.996
O  0.461  0.092  0.431
O  0.539  0.592  0.569
O  0.551  0.699  0.004
O  0.552  0.341  0.548
O  0.566  0.157  0.757
O  0.567  0.469  0.111
O  0.569  0.953  0.230
O  0.718  0.462  0.737
O  0.719  0.654  0.226
O  0.776  0.932  0.937
O  0.806  0.204  0.455
O  0.910  0.666  0.575
O  0.935  0.991  0.156
O  0.944  0.473  0.095
O  0.959  0.162  0.675
O  0.978  0.768  0.030
O  0.996  0.877  0.465